Density functional theory data (PBE-GGA) for a relaxed La2SnS3O2 crystal.

symmetry	No. 62
ΔE_f	-19.9	eV per formula unit
crystal system	orthorhombic
E_tot	-6.656	eV/atom

a b c (Å): 5.9044 19.2726 5.8910
angles (deg): 90.00 90.00 90.00
Element x y z (fractional)
La: 0.2478 0.0629 0.0020
La: 0.2478 0.4371 0.0020
La: 0.2522 0.5629 0.5020
La: 0.2522 0.9371 0.5020
La: 0.7478 0.0629 0.4980
La: 0.7478 0.4371 0.4980
La: 0.7522 0.5629 0.9980
La: 0.7522 0.9371 0.9980
Sn: 0.1524 0.7500 0.9303
Sn: 0.3476 0.2500 0.4303
Sn: 0.6524 0.7500 0.5697
Sn: 0.8476 0.2500 0.0697
S: 0.2392 0.7500 0.5166
S: 0.2437 0.1335 0.5132
S: 0.2437 0.3665 0.5132
S: 0.2563 0.6335 0.0132
S: 0.2563 0.8665 0.0132
S: 0.2608 0.2500 0.0166
S: 0.7392 0.7500 0.9834
S: 0.7437 0.1335 0.9868
S: 0.7437 0.3665 0.9868
S: 0.7563 0.6335 0.4868
S: 0.7563 0.8665 0.4868
S: 0.7608 0.2500 0.4834
O: 0.0006 0.0004 0.7488
O: 0.0006 0.4996 0.7488
O: 0.4994 0.9996 0.2488
O: 0.4994 0.5004 0.2488
O: 0.5006 0.0004 0.7512
O: 0.5006 0.4996 0.7512
O: 0.9994 0.9996 0.2512
O: 0.9994 0.5004 0.2512